Record 1
This record from Materials Project describes an optimized crystal structure of U2N3. The functional is PBE.

## Properties
The calculation puts the total energy at -10.9064 eV per atom. The calculation puts the density at 11.352 Mg/m³. The energy relative to the elements comes out at -1.605 eV per atom. The total energy after the MP2020 corrections comes out at -889.8 eV/cell.

Geometry as CIF:
```
data_U2N3
_chemical_formula_sum 'U32 N48'
_cell_length_a 10.663
_cell_length_b 10.663
_cell_length_c 10.663
_cell_angle_alpha 90.00
_cell_angle_beta 90.00
_cell_angle_gamma 90.00
_symmetry_space_group_name_H-M 'I a -3'
_symmetry_Int_Tables_number 206
_symmetry_space_group_name_Hall '-I 2b 2c 3'
loop_
_atom_site_label
_atom_site_type_symbol
_atom_site_fract_x
_atom_site_fract_y
_atom_site_fract_z
U1 U 0.000 0.250 0.479
U2 U 0.250 0.250 0.250
N1 N 0.117 0.146 0.620
```

---

Record 2
This record from Materials Project describes an optimized crystal structure of NdS2. The functional is PBE.

## Properties
The calculation puts the total energy at -6.0079 eV per atom. For the size of the total moment, the calculation gives 0.00 μB per formula unit. The calculation puts the density at 5.324 Mg/m³. The energy relative to the elements comes out at -1.996 eV per atom. The total energy after the MP2020 corrections comes out at -38.1 eV/cell.

Geometry as CIF:
```
data_NdS2
_chemical_formula_sum 'Nd2 S4'
_cell_length_a 3.973
_cell_length_b 3.973
_cell_length_c 8.233
_cell_angle_alpha 90.00
_cell_angle_beta 90.00
_cell_angle_gamma 90.00
_symmetry_space_group_name_H-M 'P 4/n m m'
_symmetry_Int_Tables_number 129
loop_
_symmetry_equiv_pos_as_xyz
'x,y,z'
'-x,-y,-z'
'-y+1/2,x,z'
'y+1/2,-x,-z'
'-x+1/2,-y+1/2,z'
'x+1/2,y+1/2,-z'
'y,-x+1/2,z'
'-y,x+1/2,-z'
'x+1/2,-y,-z'
'-x+1/2,y,z'
'-y,-x,-z'
'y,x,z'
'-x,y+1/2,-z'
'x,-y+1/2,z'
'y+1/2,x+1/2,-z'
'-y+1/2,-x+1/2,z'
loop_
_atom_site_label
_atom_site_type_symbol
_atom_site_fract_x
_atom_site_fract_y
_atom_site_fract_z
Nd1 Nd 0.250 0.250 0.226
S1 S 0.250 0.250 0.867
S2 S 0.250 0.750 0.500
```

---

Record 3
This record from Materials Project describes an optimized crystal structure of Rb3PrCl6O2. The functional is PBE.

## Properties
The calculation puts the total energy at -3.7893 eV per atom. For the size of the total moment, the calculation gives 4.07 μB per formula unit. The calculation puts the density at 2.881 Mg/m³. The energy relative to the elements comes out at -1.511 eV per atom. The total energy after the MP2020 corrections comes out at -281.1 eV/cell.

Geometry as CIF:
```
data_Rb3PrCl6O2
_chemical_formula_sum 'Rb18 Pr6 Cl36 O12'
_cell_length_a 12.3094
_cell_length_b 12.3094
_cell_length_c 16.9191
_cell_angle_alpha 90.00
_cell_angle_beta 90.00
_cell_angle_gamma 120.00
_symmetry_space_group_name_H-M 'P 63/m'
_symmetry_Int_Tables_number 176
_symmetry_space_group_name_Hall '-P 6c'
loop_
_atom_site_label
_atom_site_type_symbol
_atom_site_fract_x
_atom_site_fract_y
_atom_site_fract_z
Rb1 Rb 0.0000 0.0000 0.0000
Rb2 Rb 0.0656 0.6204 0.1173
Rb3 Rb 0.3333 0.6667 0.6113
Pr1 Pr 0.0300 0.8009 0.7500
Cl1 Cl 0.0245 0.8506 0.1525
Cl2 Cl 0.1246 0.4212 0.0325
Cl3 Cl 0.1465 0.4653 0.2500
Cl4 Cl 0.1789 0.4506 0.7500
O1 O 0.0191 0.6555 0.6458
```